Lu5Co4Ge10 | PBE | optimized geometry

```
Lu5Co4Ge10
1.0
-2.421 2.856 1.666
-7.191 -9.074 5.109
7.250 0.095 10.372
Ge Lu Co
20 10 8
Direct
0.500 0.337 0.507
0.000 0.196 0.842
0.000 0.068 0.568
0.500 0.007 0.837
0.000 0.342 0.696
0.000 0.568 0.932
0.000 0.696 0.658
0.000 0.658 0.304
0.500 0.993 0.163
0.000 0.804 0.158
0.500 0.493 0.337
0.000 0.432 0.068
0.500 0.163 0.007
0.000 0.304 0.342
0.500 0.507 0.663
0.500 0.837 0.993
0.000 0.842 0.804
0.000 0.932 0.432
0.500 0.663 0.493
0.000 0.158 0.196
0.500 0.386 0.886
0.500 0.325 0.175
0.500 0.675 0.825
0.500 0.614 0.114
0.500 0.114 0.386
0.500 0.886 0.614
0.000 0.000 0.000
0.500 0.175 0.675
0.500 0.825 0.325
0.000 0.500 0.500
0.000 0.978 0.247
0.000 0.253 0.522
0.000 0.753 0.978
0.000 0.747 0.478
0.000 0.522 0.747
0.000 0.022 0.753
0.000 0.478 0.253
0.000 0.247 0.022
```

MgCo4Ge6 | PBE | optimized geometry

```
MgCo4Ge6
1.0
-3.085 3.085 4.346
3.085 -3.085 4.346
3.085 3.085 -4.346
Ge Co Mg
6 4 1
Direct
0.537 0.875 0.000
0.125 0.125 0.661
0.000 0.500 0.500
0.500 0.000 0.500
0.875 0.537 0.000
0.463 0.463 0.339
0.758 0.758 0.357
0.600 0.242 0.000
0.400 0.400 0.643
0.242 0.600 0.000
0.000 0.000 0.000
```

MgCo6Ge6 | PBE | optimized geometry

```
MgCo6Ge6
1.0
2.536 -4.392 0.000
2.536 4.392 0.000
0.000 0.000 7.718
Co Ge Mg
6 6 1
Direct
0.000 0.500 0.250
0.500 0.000 0.250
0.500 0.500 0.750
0.500 0.000 0.750
0.000 0.500 0.750
0.500 0.500 0.250
0.000 0.000 0.663
0.667 0.333 0.500
0.667 0.333 0.000
0.000 0.000 0.337
0.333 0.667 0.500
0.333 0.667 0.000
0.000 0.000 0.000
```

Mn4Co11Ge5 | PBE | optimized geometry

```
Mn4Co11Ge5
1.0
16.551 -2.027 0.000
16.551 2.027 0.000
16.303 0.000 3.502
Ge Co Mn
5 11 4
Direct
0.500 0.500 0.500
0.300 0.300 0.300
0.900 0.900 0.900
0.700 0.700 0.700
0.100 0.100 0.100
0.250 0.250 0.250
0.950 0.950 0.950
0.350 0.350 0.350
0.650 0.650 0.650
0.150 0.150 0.150
0.450 0.450 0.450
0.550 0.550 0.550
0.000 0.000 0.000
0.750 0.750 0.750
0.050 0.050 0.050
0.850 0.850 0.850
0.400 0.400 0.400
0.800 0.800 0.800
0.200 0.200 0.200
0.600 0.600 0.600
```

Mn4CoNi3Ge4 | PBE | optimized geometry

```
Mn4CoNi3Ge4
1.0
3.690 0.000 0.000
0.000 5.954 0.000
0.000 0.028 7.097
Ge Ni Mn Co
4 3 4 1
Direct
0.500 0.246 0.626
0.000 0.754 0.372
0.500 0.744 0.876
0.000 0.258 0.127
0.500 0.352 0.941
0.500 0.853 0.559
0.000 0.145 0.442
0.500 0.966 0.178
0.000 0.033 0.822
0.500 0.468 0.320
0.000 0.533 0.680
0.000 0.647 0.057
```

PrMnCoGe2 | PBE | optimized geometry

```
PrMnCoGe2
1.0
-2.039 2.039 5.287
2.039 -2.039 5.287
2.039 2.039 -5.287
Ge Pr Co Mn
2 1 1 1
Direct
0.375 0.375 0.000
0.625 0.625 0.000
0.000 0.000 0.000
0.750 0.250 0.500
0.250 0.750 0.500
```

Mn2Co2SiGe | PBE | optimized geometry

```
Mn2Co2SiGe
1.0
3.713 0.000 0.000
0.000 5.771 0.000
0.000 0.000 6.960
Co Mn Ge Si
4 4 2 2
Direct
0.000 0.665 0.803
0.500 0.348 0.682
0.000 0.165 0.197
0.500 0.848 0.318
0.000 0.523 0.441
0.500 0.468 0.067
0.000 0.023 0.559
0.500 0.968 0.933
0.000 0.263 0.870
0.000 0.763 0.130
0.500 0.234 0.374
0.500 0.734 0.626
```

CoGeMo | PBE | optimized geometry

```
CoGeMo
1.0
1.743 1.457 4.382
-3.078 2.975 -2.458
-5.869 -3.251 3.415
Mo Co Ge
4 4 4
Direct
0.330 0.670 0.823
0.660 0.340 0.691
0.660 0.340 0.309
0.330 0.670 0.177
0.000 0.000 0.258
0.837 0.648 0.000
0.352 0.163 0.000
0.000 0.000 0.742
0.838 0.162 0.000
0.168 0.832 0.500
0.165 0.341 0.500
0.659 0.835 0.500
```

CoGeN2 | PBE | optimized geometry

```
CoGeN2
1.0
-1.941 -3.088 3.737
9.473 -4.925 0.852
3.578 8.404 8.802
N Ge Co
32 16 16
Direct
0.349 0.718 0.319
0.320 0.709 0.559
0.151 0.218 0.319
0.728 0.461 0.068
0.772 0.961 0.068
0.789 0.980 0.305
0.849 0.718 0.181
0.680 0.209 0.941
0.820 0.791 0.441
0.711 0.020 0.805
0.772 0.539 0.568
0.211 0.020 0.695
0.228 0.461 0.432
0.849 0.782 0.681
0.180 0.209 0.559
0.272 0.961 0.432
0.180 0.291 0.059
0.651 0.282 0.681
0.680 0.291 0.441
0.320 0.791 0.059
0.211 0.480 0.195
0.151 0.282 0.819
0.272 0.539 0.932
0.349 0.782 0.819
0.651 0.218 0.181
0.289 0.520 0.695
0.228 0.039 0.932
0.289 0.980 0.195
0.789 0.520 0.805
0.728 0.039 0.568
0.820 0.709 0.941
0.711 0.480 0.305
0.682 0.710 0.561
0.818 0.210 0.561
0.682 0.790 0.061
0.377 0.957 0.816
0.877 0.957 0.684
0.623 0.043 0.184
0.123 0.043 0.316
0.818 0.290 0.061
0.318 0.290 0.439
0.182 0.710 0.939
0.877 0.543 0.184
0.377 0.543 0.316
0.318 0.210 0.939
0.123 0.457 0.816
0.182 0.790 0.439
0.623 0.457 0.684
0.184 0.805 0.198
0.684 0.695 0.802
0.864 0.453 0.444
0.864 0.047 0.944
0.364 0.453 0.056
0.816 0.195 0.802
0.136 0.953 0.056
0.364 0.047 0.556
0.316 0.305 0.198
0.136 0.547 0.556
0.636 0.547 0.944
0.316 0.195 0.698
0.184 0.695 0.698
0.684 0.805 0.302
0.636 0.953 0.444
0.816 0.305 0.302
```

Co3Ge6N11 | PBE | optimized geometry

```
Co3Ge6N11
1.0
-7.603 -5.359 -1.368
1.372 0.425 -9.291
2.885 -4.154 0.236
Co N Ge
6 22 12
Direct
0.687 0.187 0.953
0.500 0.500 0.959
0.000 0.000 0.959
0.313 0.813 0.953
0.187 0.313 0.953
0.813 0.687 0.953
0.274 0.495 0.158
0.500 0.000 0.169
0.226 0.995 0.158
0.495 0.726 0.158
0.668 0.621 0.712
0.332 0.379 0.712
0.596 0.904 0.660
0.774 0.005 0.158
0.904 0.404 0.660
0.621 0.332 0.712
0.505 0.274 0.158
0.005 0.226 0.158
0.096 0.596 0.660
0.404 0.096 0.660
0.168 0.879 0.712
0.000 0.500 0.169
0.379 0.668 0.712
0.121 0.168 0.712
0.726 0.505 0.158
0.832 0.121 0.712
0.879 0.832 0.712
0.995 0.774 0.158
0.266 0.533 0.521
0.734 0.467 0.521
0.234 0.033 0.521
0.766 0.967 0.521
0.374 0.126 0.024
0.126 0.626 0.024
0.874 0.374 0.024
0.467 0.266 0.521
0.626 0.874 0.024
0.967 0.234 0.521
0.033 0.766 0.521
0.533 0.734 0.521
```

Co4GeN4 | PBE | optimized geometry

```
Co4GeN4
1.0
-0.117 -5.120 1.691
6.093 0.829 2.930
-4.777 3.101 9.059
Co N Ge
16 16 4
Direct
0.039 0.750 0.750
0.961 0.250 0.250
0.750 0.500 0.046
0.605 0.359 0.446
0.250 0.000 0.546
0.605 0.141 0.054
0.750 0.000 0.454
0.105 0.359 0.554
0.895 0.641 0.446
0.461 0.250 0.750
0.250 0.500 0.954
0.395 0.641 0.554
0.105 0.141 0.946
0.539 0.750 0.250
0.395 0.859 0.946
0.895 0.859 0.054
0.051 0.876 0.419
0.062 0.882 0.894
0.449 0.376 0.081
0.551 0.624 0.919
0.562 0.882 0.106
0.438 0.382 0.606
0.062 0.618 0.606
0.051 0.624 0.081
0.938 0.118 0.106
0.449 0.124 0.419
0.438 0.118 0.894
0.551 0.876 0.581
0.949 0.376 0.919
0.949 0.124 0.581
0.562 0.618 0.394
0.938 0.382 0.394
0.250 0.500 0.209
0.750 0.500 0.791
0.750 0.000 0.709
0.250 0.000 0.291
```

CoGeN2 | PBE | optimized geometry

```
CoGeN2
1.0
-0.008 -2.898 0.284
1.461 1.646 1.907
-8.436 0.606 5.941
Ge N Co
2 4 2
Direct
0.667 0.334 0.250
0.333 0.666 0.750
0.333 0.667 0.110
0.333 0.667 0.390
0.667 0.333 0.890
0.667 0.333 0.610
0.000 0.000 0.500
0.000 0.000 0.000
```

CoGeN2 | PBE | optimized geometry

```
CoGeN2
1.0
-0.499 -1.049 -5.320
-2.993 -5.541 1.373
-4.583 2.461 -0.055
Co N Ge
4 8 4
Direct
0.917 0.376 0.498
0.417 0.124 0.498
0.083 0.624 0.998
0.583 0.876 0.998
0.591 0.863 0.388
0.909 0.363 0.888
0.930 0.887 0.863
0.570 0.387 0.363
0.409 0.137 0.888
0.070 0.113 0.363
0.091 0.637 0.388
0.430 0.613 0.863
0.581 0.375 0.000
0.419 0.625 0.500
0.919 0.875 0.500
0.081 0.125 0.000
```

| no. | E (eV/atom) |
| --- | --- |
| 1 | -5.748 |
| 2 | -5.508 |
| 3 | -5.768 |
| 4 | -7.121 |
| 5 | -6.873 |
| 6 | -6.565 |
| 7 | -7.425 |
| 8 | -7.478 |
| 9 | -6.870 |
| 10 | -6.385 |
| 11 | -7.028 |
| 12 | -6.461 |
| 13 | -6.910 |